ZnSn2O4 | PBE | optimized geometry

Cell and atoms, written as POSCAR:
```
ZnSn2O4
1.0
-0.3878 1.9797 2.5990
-5.1338 -3.9968 4.3482
5.1696 -3.3032 5.3645
O Sn Zn
8 4 2
direct
0.2258 0.6607 0.9127
0.8695 0.6963 0.5746
0.4695 0.3568 0.7152
0.8374 0.9939 0.3431
0.1802 0.0280 0.6240
0.1468 0.3255 0.3924
0.8006 0.3613 0.0542
0.5477 0.6651 0.2518
0.6502 0.1909 0.5199
0.1598 0.5166 0.1754
0.3661 0.8310 0.4471
0.8571 0.5053 0.7916
0.3967 0.1389 0.0570
0.5871 0.8830 0.9099
```

Values from the calculation:
For the total energy, the calculation gives -5.38 eV/atom. Its distance to the lowest polymorph of the same formula is 163.1 meV/atom. As for the space group: P1. As for the formation energy: -155.94 kJ per mole of atoms.

=====

Na5Ca2Zn2PS5O24 | PBE | optimized geometry

Cell and atoms, written as POSCAR:
```
Na5Ca2Zn2PS5O24
1.0
9.1369 0.0052 0.0005
-4.5639 7.9140 0.0148
0.0015 0.0444 23.0625
O Na S Ca P Zn
72 15 15 6 3 6
direct
0.3123 0.8350 0.2521
0.0954 0.4518 0.8633
0.4582 0.3069 0.0338
0.4516 0.1333 0.5302
0.1828 0.9925 0.9143
0.4940 0.3662 0.4130
0.9847 0.8039 0.0878
0.3238 0.4523 0.4681
0.7859 0.9842 0.6972
0.5215 0.6679 0.2528
0.4708 0.3275 0.7525
0.4698 0.3608 0.1384
0.9880 0.7924 0.8052
0.3446 0.4795 0.3618
0.6486 0.5364 0.6375
0.0218 0.7937 0.7001
0.1420 0.6657 0.7579
0.1901 0.9675 0.1896
0.3100 0.8682 0.9751
0.1852 0.2029 0.4116
0.4680 0.1134 0.6349
0.9690 0.2050 0.3002
0.7972 0.9684 0.4109
0.8596 0.5444 0.0331
0.0240 0.2151 0.1962
0.1591 0.4720 0.2510
0.5446 0.6384 0.8635
0.8043 0.8251 0.9159
0.2034 0.1887 0.8024
0.0068 0.8153 0.4104
0.7846 0.8091 0.1985
0.8180 0.8201 0.5812
0.3516 0.4860 0.0756
0.8386 0.5341 0.7528
0.2024 0.1760 0.0882
0.8641 0.3127 0.5353
0.4999 0.6541 0.5823
0.3661 0.8968 0.8709
0.6570 0.5150 0.9285
0.8523 0.3389 0.9258
0.6860 0.5270 0.2415
0.2084 0.2226 0.6968
0.5068 0.8663 0.0767
0.1377 0.4544 0.9681
0.9920 0.1797 0.5862
0.4827 0.1636 0.2372
0.7937 0.7683 0.3030
0.0071 0.1881 0.9167
0.6961 0.1656 0.7537
0.8848 0.5315 0.1388
0.3039 0.4651 0.7563
0.8175 0.0156 0.0895
0.5426 0.6918 0.9674
0.6711 0.5482 0.5264
0.4933 0.1437 0.9279
0.2009 0.0264 0.5853
0.3474 0.8630 0.5801
0.5251 0.8679 0.3644
0.1426 0.4827 0.5817
0.8542 0.3341 0.2387
0.5556 0.8727 0.4700
0.6523 0.1330 0.4144
0.5308 0.8366 0.7569
0.8600 0.5122 0.4119
0.8934 0.3449 0.6402
0.1384 0.6519 0.0790
0.1257 0.6774 0.4639
0.1184 0.6562 0.3578
0.6912 0.1362 0.0271
0.2269 0.0395 0.2971
0.8161 0.0166 0.8082
0.6373 0.1189 0.1318
0.6968 0.6656 0.4196
0.3409 0.6890 0.6679
0.6531 0.3237 0.8381
0.6675 0.9629 0.5869
0.9998 0.9995 0.0005
0.3631 0.3562 0.2492
0.9934 0.3546 0.7550
0.2986 0.9654 0.0850
0.3469 0.6748 0.1650
0.3190 0.3452 0.5840
0.6976 0.0305 0.9168
0.6374 0.6448 0.7473
0.0043 0.6410 0.2454
0.0035 0.9873 0.5001
0.6561 0.2973 0.3293
0.0318 0.6656 0.4111
0.3667 0.0339 0.5825
0.6978 0.6967 0.2485
0.9633 0.6293 0.0845
0.0004 0.7014 0.7543
0.2946 0.2965 0.7524
0.3717 0.3348 0.0837
0.6673 0.0357 0.0812
0.3338 0.3743 0.4131
0.6362 0.6644 0.9193
0.6311 0.9619 0.4146
0.0263 0.3615 0.9189
0.9988 0.3023 0.2463
0.3347 0.9744 0.9224
0.9712 0.3323 0.5857
0.6713 0.3348 0.4810
0.6631 0.3302 0.6849
0.3357 0.6738 0.8238
0.0091 0.0100 0.3453
0.3255 0.6672 0.5139
0.9955 0.9859 0.6516
0.6638 0.6384 0.5818
0.7056 0.0006 0.7541
0.3050 0.0024 0.2443
0.6587 0.3166 0.1771
0.6712 0.3454 0.9898
0.3287 0.6508 0.0134
0.3372 0.6943 0.3156
0.0001 0.9972 0.1554
0.0005 0.9985 0.8484
```

Values from the calculation:
For the total energy, the calculation gives -5.91 eV/atom. As for the space group: P1. As for the formation energy: -220.62 kJ per mole of atoms.

=====

Ho3Ni | PBE | optimized geometry

Cell and atoms, written as POSCAR:
```
Ho3Ni
1.0
-2.6402 -0.9038 5.6069
-2.8822 -5.7291 -2.2807
7.6457 -4.9613 2.8005
Ho Ni
12 4
direct
0.3210 0.6784 0.4336
0.6790 0.3216 0.9336
0.8210 0.8216 0.9336
0.1790 0.1784 0.0664
0.1790 0.1784 0.4336
0.8210 0.8216 0.5664
0.3593 0.9663 0.7500
0.3210 0.6784 0.0664
0.6790 0.3216 0.5664
0.1407 0.4663 0.7500
0.8593 0.5337 0.2500
0.6407 0.0337 0.2500
0.0540 0.8906 0.2500
0.9460 0.1094 0.7500
0.4460 0.3906 0.2500
0.5540 0.6094 0.7500
```

Values from the calculation:
For the total energy, the calculation gives -5.14 eV/atom. As for the space group: Pnma. As for the formation energy: -24.74 kJ per mole of atoms.

=====

TiCrS2 | PBE | optimized geometry

Cell and atoms, written as POSCAR:
```
TiCrS2
1.0
-2.8012 0.2247 -1.9832
0.7404 -2.9520 1.6023
-3.1803 1.7481 4.6903
Cr S Ti
1 2 1
direct
0.0000 0.0000 0.5000
0.3333 0.6667 0.2540
0.6667 0.3333 0.7460
0.0000 0.0000 0.0000
```

Values from the calculation:
For the total energy, the calculation gives -7.40 eV/atom. As for the space group: P-3m1. As for the formation energy: -115.83 kJ per mole of atoms.